1.
# Mg3BO3F3 PBE-GGA optimized geometry
data_Mg3BO3F3
_cell_length_a 8.8995
_cell_length_b 8.8995
_cell_length_c 3.1410
_cell_angle_alpha 90.00
_cell_angle_beta 90.00
_cell_angle_gamma 120.00
_space_group_name_H-M_alt 'P 63/m'
_space_group_IT_number 176
_space_group_name_Hall '-P 6c'
loop_
_atom_site_label
_atom_site_type_symbol
_atom_site_fract_x
_atom_site_fract_y
_atom_site_fract_z
_atom_site_occupancy
Mg1 Mg 0.0299 0.6631 0.2500 1
B1 B 0.3333 0.6667 0.7500 1
O1 O 0.1548 0.6040 0.7500 1
F1 F 0.0892 0.2993 0.2500 1
# Energy of formation from the pure elements (eV per formula unit): -34.24

---

2.
# DyFe10Mo2 PBE-GGA optimized geometry
data_DyFe10Mo2
_cell_length_a 4.727
_cell_length_b 8.516
_cell_length_c 8.629
_cell_angle_alpha 90.00
_cell_angle_beta 90.00
_cell_angle_gamma 90.00
_space_group_name_H-M_alt 'I m m m'
_space_group_IT_number 71
_space_group_name_Hall '-I 2 2'
loop_
_atom_site_label
_atom_site_type_symbol
_atom_site_fract_x
_atom_site_fract_y
_atom_site_fract_z
_atom_site_occupancy
Dy1 Dy 0.000 0.000 0.000 1
Fe1 Fe 0.000 0.282 0.500 1
Fe2 Fe 0.000 0.357 0.000 1
Fe3 Fe 0.000 0.500 0.275 1
Fe4 Fe 0.250 0.250 0.250 1
Mo1 Mo 0.000 0.000 0.358 1
# Energy of formation from the pure elements (eV per formula unit): -0.10

---

3.
# Re3Si PBE-GGA optimized geometry
data_Re3Si
_cell_length_a 5.4923
_cell_length_b 5.4923
_cell_length_c 4.4267
_cell_angle_alpha 90.00
_cell_angle_beta 90.00
_cell_angle_gamma 120.00
_space_group_name_H-M_alt 'P 63/m m c'
_space_group_IT_number 194
_space_group_name_Hall '-P 6c 2c'
loop_
_atom_site_label
_atom_site_type_symbol
_atom_site_fract_x
_atom_site_fract_y
_atom_site_fract_z
_atom_site_occupancy
Re1 Re 0.1703 0.3406 0.2500 1
Si1 Si 0.3333 0.6667 0.7500 1
# Energy of formation from the pure elements (eV per formula unit): 0.65

---

4.
# Sb8Cl2O11 PBE-GGA optimized geometry
data_Sb8Cl2O11
_cell_length_a 7.452
_cell_length_b 7.576
_cell_length_c 19.532
_cell_angle_alpha 86.64
_cell_angle_beta 79.49
_cell_angle_gamma 73.64
_space_group_name_H-M_alt 'P -1'
_space_group_IT_number 2
_space_group_name_Hall '-P 1'
loop_
_atom_site_label
_atom_site_type_symbol
_atom_site_fract_x
_atom_site_fract_y
_atom_site_fract_z
_atom_site_occupancy
Sb1 Sb 0.003 0.058 0.186 1
Sb2 Sb 0.068 0.238 0.519 1
Sb3 Sb 0.103 0.363 0.278 1
Sb4 Sb 0.103 0.727 0.005 1
Sb5 Sb 0.226 0.282 0.815 1
Sb6 Sb 0.251 0.753 0.304 1
Sb7 Sb 0.337 0.539 0.570 1
Sb8 Sb 0.381 0.941 0.082 1
Cl1 Cl 0.364 0.261 0.177 1
Cl2 Cl 0.378 0.296 0.349 1
O1 O 0.000 0.000 0.000 1
O2 O 0.000 0.500 0.500 1
O3 O 0.043 0.311 0.904 1
O4 O 0.078 0.680 0.800 1
O5 O 0.084 0.001 0.278 1
O6 O 0.095 0.630 0.258 1
O7 O 0.141 0.751 0.549 1
O8 O 0.147 0.756 0.402 1
O9 O 0.230 0.020 0.802 1
O10 O 0.246 0.324 0.585 1
O11 O 0.339 0.731 0.036 1
O12 O 0.468 0.217 0.856 1
# Energy of formation from the pure elements (eV per formula unit): -30.18
# Offset from the most stable computed form (meV per atom): 226.3

---

5.
# RbCrI3 PBE-GGA optimized geometry
data_RbCrI3
_cell_length_a 14.041
_cell_length_b 8.126
_cell_length_c 14.421
_cell_angle_alpha 90.00
_cell_angle_beta 96.05
_cell_angle_gamma 90.00
_space_group_name_H-M_alt 'C 1 2 1'
_space_group_IT_number 5
_space_group_name_Hall 'C 2y'
loop_
_atom_site_label
_atom_site_type_symbol
_atom_site_fract_x
_atom_site_fract_y
_atom_site_fract_z
_atom_site_occupancy
Rb1 Rb 0.162 0.000 0.119 1
Rb2 Rb 0.166 0.033 0.618 1
Cr1 Cr 0.000 0.480 0.000 1
Cr2 Cr 0.000 0.551 0.500 1
Cr3 Cr 0.001 0.513 0.250 1
I1 I 0.076 0.722 0.892 1
I2 I 0.080 0.309 0.394 1
I3 I 0.082 0.788 0.396 1
I4 I 0.085 0.244 0.897 1
I5 I 0.167 0.498 0.164 1
I6 I 0.167 0.525 0.664 1
# Energy of formation from the pure elements (eV per formula unit): -5.00
# Largest piezoelectric modulus (C/m2): 0.30

---

6.
# NdHo3 PBE-GGA optimized geometry
data_NdHo3
_cell_length_a 5.048
_cell_length_b 5.048
_cell_length_c 10.084
_cell_angle_alpha 90.00
_cell_angle_beta 90.00
_cell_angle_gamma 90.00
_space_group_name_H-M_alt 'I 4/m m m'
_space_group_IT_number 139
_space_group_name_Hall '-I 4 2'
loop_
_atom_site_label
_atom_site_type_symbol
_atom_site_fract_x
_atom_site_fract_y
_atom_site_fract_z
_atom_site_occupancy
Nd1 Nd 0.000 0.000 0.000 1
Ho1 Ho 0.000 0.000 0.500 1
Ho2 Ho 0.000 0.500 0.250 1
# Energy of formation from the pure elements (eV per formula unit): 0.10
# Offset from the most stable computed form (meV per atom): 7.3

---

Repeat the fourth record exactly.
# Sb8Cl2O11 PBE-GGA optimized geometry
data_Sb8Cl2O11
_cell_length_a 7.452
_cell_length_b 7.576
_cell_length_c 19.532
_cell_angle_alpha 86.64
_cell_angle_beta 79.49
_cell_angle_gamma 73.64
_space_group_name_H-M_alt 'P -1'
_space_group_IT_number 2
_space_group_name_Hall '-P 1'
loop_
_atom_site_label
_atom_site_type_symbol
_atom_site_fract_x
_atom_site_fract_y
_atom_site_fract_z
_atom_site_occupancy
Sb1 Sb 0.003 0.058 0.186 1
Sb2 Sb 0.068 0.238 0.519 1
Sb3 Sb 0.103 0.363 0.278 1
Sb4 Sb 0.103 0.727 0.005 1
Sb5 Sb 0.226 0.282 0.815 1
Sb6 Sb 0.251 0.753 0.304 1
Sb7 Sb 0.337 0.539 0.570 1
Sb8 Sb 0.381 0.941 0.082 1
Cl1 Cl 0.364 0.261 0.177 1
Cl2 Cl 0.378 0.296 0.349 1
O1 O 0.000 0.000 0.000 1
O2 O 0.000 0.500 0.500 1
O3 O 0.043 0.311 0.904 1
O4 O 0.078 0.680 0.800 1
O5 O 0.084 0.001 0.278 1
O6 O 0.095 0.630 0.258 1
O7 O 0.141 0.751 0.549 1
O8 O 0.147 0.756 0.402 1
O9 O 0.230 0.020 0.802 1
O10 O 0.246 0.324 0.585 1
O11 O 0.339 0.731 0.036 1
O12 O 0.468 0.217 0.856 1
# Energy of formation from the pure elements (eV per formula unit): -30.18
# Offset from the most stable computed form (meV per atom): 226.3

---

- The highest energy of formation from the pure elements belongs to which entry?
  Re3Si